[1]
VASP calculation (PBE+U) on a relaxed structure of Li3FeF6.

Values from the calculation:
Its polymorph energy (0 for the lowest one) is 42 meV/atom. For the MP2020-corrected energy, the calculation gives -5.509 eV per atom. The space-group type is No. 15. Its magnetic moment is 5.00 μB per formula unit. The formation energy comes out at -2.94 eV/atom.

Structure (extended XYZ):
```
40
Lattice="8.746 -2.692 0.000 8.746 2.692 0.000 -0.418 0.000 9.214" Properties=species:S:1:pos:R:3 pbc="T T T"
Li 6.409 1.509 8.213
Li 5.611 1.158 1.633
Li 7.088 1.347 5.086
Li 9.776 1.347 8.734
Li 10.455 1.509 5.608
Li 11.671 1.158 2.973
Li 5.402 -1.158 6.240
Li 6.618 -1.509 3.606
Li 7.297 -1.347 0.480
Li 9.986 -1.347 4.127
Li 11.462 -1.158 7.580
Li 10.664 -1.509 1.001
Fe 4.164 1.346 4.607
Fe 8.641 1.074 2.303
Fe 4.373 -1.346 0.000
Fe 8.432 -1.074 6.910
F 9.967 -2.222 6.633
F 7.106 2.222 2.581
F 4.177 0.954 6.492
F 2.531 0.011 8.950
F 2.740 -0.011 4.343
F 10.176 2.222 2.026
F 8.426 1.298 0.337
F 8.857 1.298 4.270
F 5.646 0.038 4.479
F 5.437 -0.038 9.086
F 7.108 0.384 6.783
F 4.386 -0.954 1.885
F 7.317 -0.384 2.176
F 9.756 0.384 7.038
F 12.687 0.954 7.329
F 9.965 -0.384 2.431
F 11.637 0.038 0.128
F 11.427 -0.038 4.735
F 8.217 -1.298 4.944
F 8.647 -1.298 8.877
F 6.897 -2.222 7.188
F 14.333 0.011 4.870
F 14.543 -0.011 0.264
F 12.897 -0.954 2.722
```

[2]
VASP calculation (PBE+U) on a relaxed structure of Li2MnSiO4.

Values from the calculation:
Its polymorph energy (0 for the lowest one) is 29 meV/atom. For the MP2020-corrected energy, the calculation gives -7.435 eV per atom. The space-group type is No. 14. Its magnetic moment is 5.00 μB per formula unit. The formation energy comes out at -2.66 eV/atom.

Structure (extended XYZ):
```
32
Lattice="6.508 0.000 0.000 0.000 5.091 0.000 -0.236 0.000 11.022" Properties=species:S:1:pos:R:3 pbc="T T T"
Li -0.094 0.950 4.553
Li -0.212 1.596 10.064
Li 1.390 0.953 1.892
Li 1.272 1.593 7.403
Li 4.999 3.498 3.619
Li 4.881 4.138 9.130
Li 6.484 3.495 0.958
Li 6.365 4.141 6.469
Mn 3.175 3.584 1.079
Mn 3.057 4.053 6.590
Mn 3.214 1.038 4.432
Mn 3.096 1.507 9.944
Si 1.465 3.489 3.728
Si 1.346 4.148 9.239
Si 4.925 0.944 1.784
Si 4.807 1.602 7.295
O 0.037 3.593 10.026
O 0.155 4.044 4.515
O 1.400 3.581 7.677
O 1.518 4.056 2.166
O 1.376 0.713 9.209
O 1.494 1.833 3.697
O 2.784 3.652 9.992
O 2.902 3.984 4.481
O 3.370 1.107 6.542
O 3.488 1.439 1.031
O 4.777 3.258 7.325
O 4.895 4.378 1.814
O 4.753 1.035 8.856
O 4.871 1.510 3.345
O 6.116 1.047 6.507
O 6.234 1.498 0.996
```

[3]
VASP calculation (PBE+U) on a relaxed structure of K2CoO3.

Values from the calculation:
For the MP2020-corrected energy, the calculation gives -5.471 eV per atom. The space-group type is No. 64. Its magnetic moment is 3.00 μB per formula unit. The formation energy comes out at -1.44 eV/atom.

Structure (extended XYZ):
```
24
Lattice="2.924 -5.749 0.000 2.924 5.749 0.000 0.000 0.000 12.807" Properties=species:S:1:pos:R:3 pbc="T T T"
K 2.924 5.086 11.016
K 2.924 4.191 5.430
K 2.924 1.557 11.834
K 2.924 0.663 4.612
K 2.924 -0.663 8.195
K 2.924 -1.557 0.973
K 2.924 -4.191 7.377
K 2.924 -5.086 1.791
Co 2.924 2.950 8.547
Co 2.924 2.799 2.143
Co 2.924 -2.799 10.664
Co 2.924 -2.950 4.260
O 1.462 2.493 9.606
O 2.924 4.671 8.167
O 2.924 3.849 0.720
O 2.924 1.900 7.124
O 2.924 1.078 1.763
O 1.462 -2.493 3.202
O 4.386 2.493 9.606
O 2.924 -1.078 11.044
O 2.924 -1.900 5.683
O 2.924 -3.849 12.087
O 2.924 -4.671 4.640
O 4.386 -2.493 3.202
```

[4]
VASP calculation (PBE+U) on a relaxed structure of PrMo6O12.

Values from the calculation:
Its polymorph energy (0 for the lowest one) is 183 meV/atom. For the MP2020-corrected energy, the calculation gives -8.682 eV per atom. The space-group type is No. 87. Its magnetic moment is 0.00 μB per formula unit. The formation energy comes out at -1.88 eV/atom.

Structure (extended XYZ):
```
38
Lattice="-5.050 5.050 4.371 5.050 -5.050 4.371 5.050 5.050 -4.371" Properties=species:S:1:pos:R:3 pbc="T T T"
Pr 0.000 0.000 1.812
Pr 0.000 0.000 6.931
Mo 3.169 1.640 -1.394
Mo 3.410 -1.880 2.978
Mo 6.700 1.854 0.000
Mo 3.169 1.640 1.394
Mo 1.854 3.399 0.000
Mo 3.410 -1.880 5.765
Mo 1.640 6.930 -1.394
Mo 3.195 1.650 4.371
Mo 1.880 3.410 2.978
Mo -1.650 3.195 4.371
Mo 1.640 6.930 1.394
Mo 1.880 3.410 5.765
O 1.589 1.247 0.000
O 3.340 -0.433 1.456
O 3.802 -3.461 4.371
O 4.654 1.656 0.000
O 6.329 3.323 -1.446
O 5.483 -1.710 2.916
O 3.323 3.770 -1.446
O 6.760 0.433 1.456
O 1.726 1.279 2.925
O 3.394 -0.396 4.371
O 6.329 3.323 1.446
O 0.433 3.340 1.456
O 4.617 1.710 2.915
O -1.279 1.726 2.925
O 1.656 5.446 0.000
O 3.323 3.770 1.446
O -1.710 4.617 2.916
O 1.726 1.279 5.818
O -0.433 6.760 1.456
O -1.279 1.726 5.818
O 0.396 3.394 4.371
O 1.247 8.510 0.000
O 1.710 5.483 2.915
O 3.461 3.802 4.371
```